No. 1
{
  "formula": "Ce3Si2Ni6",
  "functional": "PBE-GGA",
  "state": "relaxed",
  "cell": [[5.203, -3.816, 4.086], [-6.994, -1.712, 2.548], [0.586, -1.980, -7.353]],
  "species": ["Ce", "Ce", "Ce", "Ce", "Ce", "Ce", "Si", "Si", "Si", "Si", "Ni", "Ni", "Ni", "Ni", "Ni", "Ni", "Ni", "Ni", "Ni", "Ni", "Ni", "Ni"],
  "frac_coords": [[0.720, 0.720, 0.000], [0.280, 0.280, 0.000], [0.000, 0.280, 0.280], [0.000, 0.720, 0.720], [0.280, 0.000, 0.280], [0.720, 0.000, 0.720], [0.000, 0.500, 0.000], [0.500, 0.000, 0.000], [0.500, 0.500, 0.500], [0.000, 0.000, 0.500], [0.338, 0.662, 0.000], [0.000, 0.662, 0.338], [0.338, 0.000, 0.662], [0.662, 0.000, 0.338], [0.662, 0.324, 0.662], [0.662, 0.338, 0.000], [0.324, 0.662, 0.662], [0.338, 0.338, 0.676], [0.000, 0.338, 0.662], [0.676, 0.338, 0.338], [0.338, 0.676, 0.338], [0.662, 0.662, 0.324]],
  "delta_e_f_ev_per_atom": -0.5836,
  "e_tot_ev_per_atom": -6.341,
  "space_group": "Im-3m"
}

=====

No. 2
{
  "formula": "Mn2GeSe4",
  "functional": "PBE-GGA",
  "state": "relaxed",
  "cell": [[-2.831, 5.698, -0.707], [-3.518, -2.533, -6.327], [-10.174, -4.148, 7.318]],
  "species": ["Mn", "Mn", "Mn", "Mn", "Mn", "Mn", "Mn", "Mn", "Ge", "Ge", "Ge", "Ge", "Se", "Se", "Se", "Se", "Se", "Se", "Se", "Se", "Se", "Se", "Se", "Se", "Se", "Se", "Se", "Se"],
  "frac_coords": [[0.502, 0.250, 0.767], [0.998, 0.250, 0.267], [0.002, 0.750, 0.733], [0.000, 0.000, 0.000], [0.498, 0.750, 0.233], [0.500, 0.500, 0.500], [0.500, 0.000, 0.500], [0.000, 0.500, 0.000], [0.416, 0.250, 0.089], [0.916, 0.750, 0.411], [0.084, 0.250, 0.589], [0.584, 0.750, 0.911], [0.763, 0.996, 0.831], [0.743, 0.750, 0.578], [0.800, 0.250, 0.092], [0.737, 0.504, 0.331], [0.300, 0.750, 0.408], [0.737, 0.996, 0.331], [0.757, 0.750, 0.078], [0.700, 0.250, 0.592], [0.243, 0.250, 0.922], [0.200, 0.750, 0.908], [0.257, 0.250, 0.422], [0.237, 0.496, 0.169], [0.237, 0.004, 0.169], [0.763, 0.504, 0.831], [0.263, 0.496, 0.669], [0.263, 0.004, 0.669]],
  "delta_e_f_ev_per_atom": -0.6002,
  "e_tot_ev_per_atom": -5.606,
  "space_group": "Pnma"
}

=====

No. 3
{
  "formula": "LiGaSi2O6",
  "functional": "PBE-GGA",
  "state": "relaxed",
  "cell": [[8.726, 0.000, 0.000], [0.000, 5.315, 0.000], [0.000, 1.902, 9.087]],
  "species": ["Li", "Li", "Li", "Li", "Ga", "Ga", "Ga", "Ga", "Si", "Si", "Si", "Si", "Si", "Si", "Si", "Si", "O", "O", "O", "O", "O", "O", "O", "O", "O", "O", "O", "O", "O", "O", "O", "O", "O", "O", "O", "O", "O", "O", "O", "O"],
  "frac_coords": [[0.007, 0.989, 0.247], [0.507, 0.511, 0.753], [0.993, 0.011, 0.753], [0.493, 0.489, 0.247], [0.647, 0.987, 0.250], [0.853, 0.487, 0.250], [0.353, 0.013, 0.750], [0.147, 0.513, 0.750], [0.660, 0.777, 0.952], [0.660, 0.203, 0.548], [0.160, 0.297, 0.452], [0.340, 0.797, 0.452], [0.840, 0.703, 0.548], [0.160, 0.723, 0.048], [0.840, 0.277, 0.952], [0.340, 0.223, 0.048], [0.990, 0.698, 0.116], [0.168, 0.790, 0.865], [0.668, 0.710, 0.135], [0.832, 0.210, 0.135], [0.332, 0.290, 0.865], [0.666, 0.267, 0.365], [0.166, 0.233, 0.635], [0.334, 0.733, 0.635], [0.834, 0.767, 0.365], [0.265, 0.466, 0.108], [0.490, 0.802, 0.884], [0.010, 0.302, 0.884], [0.726, 0.910, 0.604], [0.226, 0.590, 0.396], [0.274, 0.090, 0.396], [0.774, 0.410, 0.604], [0.735, 0.534, 0.892], [0.765, 0.034, 0.892], [0.495, 0.229, 0.622], [0.235, 0.966, 0.108], [0.005, 0.729, 0.622], [0.505, 0.771, 0.378], [0.995, 0.271, 0.378], [0.510, 0.198, 0.116]],
  "delta_e_f_ev_per_atom": -2.8894,
  "magmom_total_mub_per_cell": 0.00,
  "e_tot_ev_per_atom": -7.025,
  "space_group": "P2_1/c"
}